[1]
{
  "formula": "BaAgSbS3O",
  "functional": "PBE-GGA",
  "state": "optimized geometry",
  "lattice_angstrom": [[19.043, 0.000, 0.000], [0.000, 8.784, 0.000], [0.000, 0.000, 9.130]],
  "species": ["Ba", "Ba", "Ba", "Ba", "Ba", "Ba", "Ba", "Ba", "Ag", "Ag", "Ag", "Ag", "Ag", "Ag", "Ag", "Ag", "Sb", "Sb", "Sb", "Sb", "Sb", "Sb", "Sb", "Sb", "S", "S", "S", "S", "S", "S", "S", "S", "S", "S", "S", "S", "S", "S", "S", "S", "S", "S", "S", "S", "S", "S", "S", "S", "O", "O", "O", "O", "O", "O", "O", "O"],
  "fractional_positions": [[0.051, 0.074, 0.000], [0.208, 0.705, 0.209], [0.292, 0.205, 0.709], [0.449, 0.574, 0.500], [0.551, 0.426, 0.000], [0.708, 0.795, 0.209], [0.792, 0.295, 0.709], [0.949, 0.926, 0.500], [0.143, 0.407, 0.470], [0.145, 0.439, 0.935], [0.355, 0.939, 0.435], [0.357, 0.907, 0.970], [0.643, 0.093, 0.470], [0.645, 0.061, 0.935], [0.855, 0.561, 0.435], [0.857, 0.593, 0.970], [0.007, 0.542, 0.200], [0.245, 0.676, 0.703], [0.255, 0.176, 0.203], [0.493, 0.042, 0.700], [0.507, 0.958, 0.200], [0.745, 0.824, 0.703], [0.755, 0.324, 0.203], [0.993, 0.458, 0.700], [0.069, 0.654, 0.413], [0.070, 0.678, 0.005], [0.104, 0.299, 0.711], [0.143, 0.321, 0.199], [0.225, 0.004, 0.997], [0.225, 0.012, 0.410], [0.275, 0.504, 0.497], [0.275, 0.512, 0.910], [0.357, 0.821, 0.699], [0.396, 0.799, 0.211], [0.430, 0.178, 0.505], [0.431, 0.154, 0.913], [0.569, 0.846, 0.413], [0.570, 0.822, 0.005], [0.604, 0.201, 0.711], [0.643, 0.179, 0.199], [0.725, 0.488, 0.410], [0.725, 0.496, 0.997], [0.775, 0.988, 0.910], [0.775, 0.996, 0.497], [0.857, 0.679, 0.699], [0.896, 0.701, 0.211], [0.930, 0.322, 0.505], [0.931, 0.346, 0.913], [0.029, 0.988, 0.727], [0.037, 0.991, 0.281], [0.463, 0.491, 0.781], [0.471, 0.488, 0.227], [0.529, 0.512, 0.727], [0.537, 0.509, 0.281], [0.963, 0.009, 0.781], [0.971, 0.012, 0.227]],
  "spacegroup": "Pna2_1 (33)"
}

[2]
{
  "formula": "SbKr3F11",
  "functional": "PBE-GGA",
  "state": "optimized geometry",
  "lattice_angstrom": [[8.269, 0.000, 0.000], [1.024, 8.816, 0.000], [4.054, 2.724, 7.875]],
  "species": ["Sb", "Sb", "Kr", "Kr", "Kr", "Kr", "Kr", "Kr", "F", "F", "F", "F", "F", "F", "F", "F", "F", "F", "F", "F", "F", "F", "F", "F", "F", "F", "F", "F", "F", "F"],
  "fractional_positions": [[0.210, 0.322, 0.221], [0.790, 0.678, 0.779], [0.183, 0.329, 0.730], [0.264, 0.834, 0.219], [0.310, 0.852, 0.707], [0.690, 0.148, 0.293], [0.736, 0.166, 0.781], [0.817, 0.671, 0.270], [0.012, 0.199, 0.699], [0.040, 0.679, 0.623], [0.138, 0.205, 0.115], [0.174, 0.521, 0.072], [0.185, 0.925, 0.902], [0.238, 0.121, 0.375], [0.275, 0.438, 0.330], [0.354, 0.440, 0.737], [0.438, 0.788, 0.508], [0.456, 0.317, 0.067], [0.497, 0.118, 0.845], [0.503, 0.882, 0.155], [0.544, 0.683, 0.933], [0.562, 0.212, 0.492], [0.646, 0.560, 0.263], [0.725, 0.562, 0.670], [0.762, 0.879, 0.625], [0.815, 0.075, 0.098], [0.826, 0.479, 0.928], [0.862, 0.795, 0.885], [0.960, 0.321, 0.377], [0.988, 0.801, 0.301]],
  "spacegroup": "P-1 (2)"
}

[3]
{
  "formula": "CeSI",
  "functional": "PBE-GGA",
  "state": "optimized geometry",
  "lattice_angstrom": [[7.045, 0.000, 0.000], [0.000, 14.437, 0.000], [0.000, 0.000, 7.316]],
  "species": ["Ce", "Ce", "Ce", "Ce", "Ce", "Ce", "Ce", "Ce", "S", "S", "S", "S", "S", "S", "S", "S", "I", "I", "I", "I", "I", "I", "I", "I"],
  "fractional_positions": [[0.242, 0.082, 0.029], [0.242, 0.418, 0.529], [0.258, 0.582, 0.029], [0.258, 0.918, 0.529], [0.742, 0.082, 0.471], [0.742, 0.418, 0.971], [0.758, 0.582, 0.471], [0.758, 0.918, 0.971], [0.001, 0.023, 0.742], [0.001, 0.477, 0.242], [0.499, 0.523, 0.742], [0.499, 0.977, 0.242], [0.501, 0.023, 0.758], [0.501, 0.477, 0.258], [0.999, 0.523, 0.758], [0.999, 0.977, 0.258], [0.183, 0.699, 0.406], [0.183, 0.801, 0.906], [0.317, 0.199, 0.406], [0.317, 0.301, 0.906], [0.683, 0.699, 0.094], [0.683, 0.801, 0.594], [0.817, 0.199, 0.094], [0.817, 0.301, 0.594]],
  "spacegroup": "Pbca (61)"
}

[4]
{
  "formula": "PrNiSnH",
  "functional": "PBE-GGA",
  "state": "optimized geometry",
  "lattice_angstrom": [[7.288, 0.000, 0.000], [0.000, 4.410, 0.000], [0.000, 0.000, 8.542]],
  "species": ["Pr", "Pr", "Pr", "Pr", "Ni", "Ni", "Ni", "Ni", "Sn", "Sn", "Sn", "Sn", "H", "H", "H", "H"],
  "fractional_positions": [[0.013, 0.250, 0.189], [0.487, 0.750, 0.689], [0.513, 0.250, 0.311], [0.987, 0.750, 0.811], [0.219, 0.750, 0.401], [0.281, 0.250, 0.901], [0.719, 0.750, 0.099], [0.781, 0.250, 0.599], [0.158, 0.250, 0.568], [0.342, 0.750, 0.068], [0.658, 0.250, 0.932], [0.842, 0.750, 0.432], [0.062, 0.250, 0.919], [0.438, 0.750, 0.419], [0.562, 0.250, 0.581], [0.938, 0.750, 0.081]],
  "spacegroup": "Pnma (62)"
}

[5]
{
  "formula": "Zn",
  "functional": "PBE-GGA",
  "state": "optimized geometry",
  "lattice_angstrom": [[11.716, 0.000, 0.000], [-0.632, 11.730, 0.000], [-0.005, -1.118, 11.812]],
  "species": ["Zn", "Zn", "Zn", "Zn", "Zn", "Zn", "Zn", "Zn", "Zn", "Zn", "Zn", "Zn", "Zn", "Zn", "Zn", "Zn", "Zn", "Zn", "Zn", "Zn", "Zn", "Zn", "Zn", "Zn", "Zn", "Zn", "Zn", "Zn", "Zn", "Zn", "Zn", "Zn", "Zn", "Zn", "Zn", "Zn", "Zn", "Zn", "Zn", "Zn", "Zn", "Zn", "Zn", "Zn", "Zn", "Zn", "Zn", "Zn", "Zn", "Zn", "Zn", "Zn", "Zn", "Zn", "Zn", "Zn", "Zn", "Zn", "Zn", "Zn", "Zn", "Zn", "Zn", "Zn", "Zn", "Zn", "Zn", "Zn", "Zn", "Zn", "Zn", "Zn", "Zn", "Zn", "Zn", "Zn", "Zn", "Zn", "Zn", "Zn", "Zn", "Zn", "Zn", "Zn", "Zn", "Zn", "Zn", "Zn", "Zn", "Zn", "Zn", "Zn", "Zn", "Zn", "Zn", "Zn", "Zn", "Zn", "Zn", "Zn"],
  "fractional_positions": [[0.000, 0.000, 0.000], [0.000, 0.554, 0.978], [0.002, 0.882, 0.366], [0.004, 0.658, 0.409], [0.037, 0.359, 0.091], [0.041, 0.357, 0.853], [0.056, 0.062, 0.248], [0.063, 0.175, 0.664], [0.113, 0.366, 0.567], [0.123, 0.727, 0.730], [0.128, 0.115, 0.861], [0.151, 0.806, 0.516], [0.153, 0.518, 0.759], [0.159, 0.444, 0.343], [0.164, 0.550, 0.132], [0.167, 0.590, 0.547], [0.172, 0.888, 0.921], [0.173, 0.217, 0.392], [0.183, 0.938, 0.703], [0.186, 0.781, 0.125], [0.196, 0.231, 0.177], [0.199, 0.664, 0.930], [0.220, 0.680, 0.333], [0.222, 0.011, 0.123], [0.223, 0.313, 0.985], [0.227, 0.022, 0.513], [0.237, 0.915, 0.312], [0.247, 0.320, 0.771], [0.306, 0.237, 0.562], [0.322, 0.108, 0.747], [0.328, 0.107, 0.970], [0.331, 0.462, 0.620], [0.352, 0.834, 0.804], [0.356, 0.527, 0.238], [0.365, 0.342, 0.363], [0.369, 0.584, 0.032], [0.370, 0.109, 0.352], [0.371, 0.883, 0.024], [0.383, 0.594, 0.814], [0.383, 0.818, 0.449], [0.385, 0.575, 0.453], [0.394, 0.327, 0.132], [0.394, 0.767, 0.209], [0.427, 0.379, 0.918], [0.436, 0.716, 0.638], [0.445, 0.028, 0.577], [0.473, 0.283, 0.707], [0.483, 0.986, 0.195], [0.518, 0.125, 0.858], [0.527, 0.162, 0.076], [0.529, 0.241, 0.494], [0.532, 0.772, 0.938], [0.545, 0.499, 0.670], [0.556, 0.482, 0.322], [0.558, 0.628, 0.162], [0.566, 0.908, 0.768], [0.567, 0.248, 0.278], [0.580, 0.808, 0.322], [0.581, 0.038, 0.397], [0.582, 0.563, 0.930], [0.592, 0.869, 0.542], [0.600, 0.644, 0.494], [0.602, 0.399, 0.084], [0.638, 0.359, 0.850], [0.640, 0.978, 0.009], [0.643, 0.096, 0.680], [0.653, 0.689, 0.739], [0.693, 0.324, 0.632], [0.708, 0.967, 0.224], [0.714, 0.366, 0.423], [0.717, 0.192, 0.968], [0.721, 0.771, 0.076], [0.761, 0.534, 0.594], [0.768, 0.840, 0.878], [0.771, 0.564, 0.143], [0.776, 0.567, 0.368], [0.777, 0.899, 0.664], [0.778, 0.164, 0.348], [0.780, 0.323, 0.188], [0.789, 0.963, 0.443], [0.795, 0.767, 0.287], [0.801, 0.604, 0.897], [0.822, 0.748, 0.507], [0.824, 0.404, 0.982], [0.826, 0.053, 0.823], [0.835, 0.146, 0.598], [0.835, 0.276, 0.784], [0.849, 0.110, 0.133], [0.896, 0.683, 0.709], [0.916, 0.899, 0.162], [0.934, 0.456, 0.695], [0.942, 0.446, 0.467], [0.943, 0.197, 0.958], [0.953, 0.491, 0.247], [0.967, 0.769, 0.970], [0.976, 0.890, 0.787], [0.978, 0.275, 0.289], [0.980, 0.127, 0.447], [0.988, 0.959, 0.583], [0.989, 0.696, 0.184]],
  "spacegroup": "P1 (1)",
  "e_above_lowest_polymorph_mev_per_atom": 52
}

[6]
{
  "formula": "Al3Co3Si4",
  "functional": "PBE-GGA",
  "state": "optimized geometry",
  "lattice_angstrom": [[-4.052, 4.052, 4.052], [4.052, -4.052, 4.052], [4.052, 4.052, -4.052]],
  "species": ["Al", "Al", "Al", "Al", "Al", "Al", "Co", "Co", "Co", "Co", "Co", "Co", "Si", "Si", "Si", "Si", "Si", "Si", "Si", "Si"],
  "fractional_positions": [[0.250, 0.500, 0.750], [0.250, 0.750, 0.500], [0.500, 0.250, 0.750], [0.500, 0.750, 0.250], [0.750, 0.250, 0.500], [0.750, 0.500, 0.250], [0.000, 0.335, 0.335], [0.000, 0.665, 0.665], [0.335, 0.000, 0.335], [0.335, 0.335, 0.000], [0.665, 0.000, 0.665], [0.665, 0.665, 0.000], [0.000, 0.000, 0.324], [0.000, 0.000, 0.676], [0.000, 0.324, 0.000], [0.000, 0.676, 0.000], [0.324, 0.000, 0.000], [0.324, 0.324, 0.324], [0.676, 0.000, 0.000], [0.676, 0.676, 0.676]],
  "spacegroup": "Im-3m (229)"
}

[7]
{
  "formula": "Cu2PHO5",
  "functional": "PBE-GGA",
  "state": "optimized geometry",
  "lattice_angstrom": [[8.136, 0.000, 0.000], [0.000, 8.522, 0.000], [0.000, 0.000, 5.967]],
  "species": ["Cu", "Cu", "Cu", "Cu", "Cu", "Cu", "Cu", "Cu", "P", "P", "P", "P", "H", "H", "H", "H", "O", "O", "O", "O", "O", "O", "O", "O", "O", "O", "O", "O", "O", "O", "O", "O", "O", "O", "O", "O"],
  "fractional_positions": [[0.000, 0.000, 0.249], [0.000, 0.000, 0.751], [0.139, 0.371, 0.000], [0.361, 0.871, 0.500], [0.500, 0.500, 0.251], [0.500, 0.500, 0.749], [0.639, 0.129, 0.500], [0.861, 0.629, 0.000], [0.232, 0.754, 0.000], [0.268, 0.254, 0.500], [0.732, 0.746, 0.500], [0.768, 0.246, 0.000], [0.076, 0.792, 0.500], [0.424, 0.292, 0.000], [0.576, 0.708, 0.000], [0.924, 0.208, 0.500], [0.102, 0.619, 0.000], [0.124, 0.898, 0.500], [0.137, 0.914, 0.000], [0.158, 0.241, 0.290], [0.158, 0.241, 0.710], [0.342, 0.741, 0.210], [0.342, 0.741, 0.790], [0.363, 0.414, 0.500], [0.376, 0.398, 0.000], [0.398, 0.119, 0.500], [0.602, 0.881, 0.500], [0.624, 0.602, 0.000], [0.637, 0.586, 0.500], [0.658, 0.259, 0.210], [0.658, 0.259, 0.790], [0.842, 0.759, 0.290], [0.842, 0.759, 0.710], [0.863, 0.086, 0.000], [0.876, 0.102, 0.500], [0.898, 0.381, 0.000]],
  "spacegroup": "Pnnm (58)"
}

[8]
{
  "formula": "La21Mn8Sn7C12",
  "functional": "PBE-GGA",
  "state": "optimized geometry",
  "lattice_angstrom": [[0.000, 8.263, 8.263], [8.263, 0.000, 8.263], [8.263, 8.263, 0.000]],
  "species": ["La", "La", "La", "La", "La", "La", "La", "La", "La", "La", "La", "La", "La", "La", "La", "La", "La", "La", "La", "La", "La", "Mn", "Mn", "Mn", "Mn", "Mn", "Mn", "Mn", "Mn", "Sn", "Sn", "Sn", "Sn", "Sn", "Sn", "Sn", "C", "C", "C", "C", "C", "C", "C", "C", "C", "C", "C", "C"],
  "fractional_positions": [[0.000, 0.000, 0.000], [0.134, 0.134, 0.134], [0.134, 0.134, 0.597], [0.134, 0.597, 0.134], [0.160, 0.500, 0.500], [0.160, 0.500, 0.840], [0.160, 0.840, 0.500], [0.403, 0.866, 0.866], [0.500, 0.160, 0.500], [0.500, 0.160, 0.840], [0.500, 0.500, 0.160], [0.500, 0.500, 0.840], [0.500, 0.840, 0.160], [0.500, 0.840, 0.500], [0.597, 0.134, 0.134], [0.840, 0.160, 0.500], [0.840, 0.500, 0.160], [0.840, 0.500, 0.500], [0.866, 0.403, 0.866], [0.866, 0.866, 0.403], [0.866, 0.866, 0.866], [0.093, 0.302, 0.302], [0.302, 0.093, 0.302], [0.302, 0.302, 0.093], [0.302, 0.302, 0.302], [0.698, 0.698, 0.698], [0.698, 0.698, 0.907], [0.698, 0.907, 0.698], [0.907, 0.698, 0.698], [0.210, 0.210, 0.790], [0.210, 0.790, 0.210], [0.210, 0.790, 0.790], [0.500, 0.500, 0.500], [0.790, 0.210, 0.210], [0.790, 0.210, 0.790], [0.790, 0.790, 0.210], [0.108, 0.108, 0.392], [0.108, 0.392, 0.108], [0.108, 0.392, 0.392], [0.392, 0.108, 0.108], [0.392, 0.108, 0.392], [0.392, 0.392, 0.108], [0.608, 0.608, 0.892], [0.608, 0.892, 0.608], [0.608, 0.892, 0.892], [0.892, 0.608, 0.608], [0.892, 0.608, 0.892], [0.892, 0.892, 0.608]],
  "spacegroup": "Fm-3m (225)"
}

[9]
{
  "formula": "Ba2CaCuSb2F14",
  "functional": "PBE-GGA",
  "state": "optimized geometry",
  "lattice_angstrom": [[7.195, -2.775, 0.000], [7.195, 2.775, 0.000], [-0.220, 0.000, 16.288]],
  "species": ["Ba", "Ba", "Ba", "Ba", "Ca", "Ca", "Cu", "Cu", "Sb", "Sb", "Sb", "Sb", "F", "F", "F", "F", "F", "F", "F", "F", "F", "F", "F", "F", "F", "F", "F", "F", "F", "F", "F", "F", "F", "F", "F", "F", "F", "F", "F", "F"],
  "fractional_positions": [[0.097, 0.264, 0.123], [0.264, 0.097, 0.623], [0.736, 0.903, 0.377], [0.903, 0.736, 0.877], [0.446, 0.554, 0.250], [0.554, 0.446, 0.750], [0.500, 0.500, 0.000], [0.500, 0.500, 0.500], [0.069, 0.162, 0.377], [0.162, 0.069, 0.877], [0.838, 0.931, 0.123], [0.931, 0.838, 0.623], [0.030, 0.641, 0.211], [0.101, 0.859, 0.332], [0.103, 0.597, 0.044], [0.140, 0.375, 0.392], [0.141, 0.899, 0.168], [0.146, 0.694, 0.488], [0.174, 0.575, 0.734], [0.306, 0.854, 0.012], [0.359, 0.970, 0.289], [0.363, 0.578, 0.888], [0.375, 0.140, 0.892], [0.403, 0.897, 0.456], [0.422, 0.637, 0.612], [0.425, 0.826, 0.766], [0.575, 0.174, 0.234], [0.578, 0.363, 0.388], [0.597, 0.103, 0.544], [0.625, 0.860, 0.108], [0.637, 0.422, 0.112], [0.641, 0.030, 0.711], [0.694, 0.146, 0.988], [0.826, 0.425, 0.266], [0.854, 0.306, 0.512], [0.859, 0.101, 0.832], [0.860, 0.625, 0.608], [0.897, 0.403, 0.956], [0.899, 0.141, 0.668], [0.970, 0.359, 0.789]],
  "spacegroup": "C2/c (15)"
}

[10]
{
  "formula": "K2EuCuCl6",
  "functional": "PBE-GGA",
  "state": "optimized geometry",
  "lattice_angstrom": [[0.000, 5.213, 5.213], [5.213, 0.000, 5.213], [5.213, 5.213, 0.000]],
  "species": ["K", "K", "Eu", "Cu", "Cl", "Cl", "Cl", "Cl", "Cl", "Cl"],
  "fractional_positions": [[0.250, 0.250, 0.250], [0.750, 0.750, 0.750], [0.000, 0.000, 0.000], [0.500, 0.500, 0.500], [0.262, 0.262, 0.738], [0.262, 0.738, 0.262], [0.262, 0.738, 0.738], [0.738, 0.262, 0.262], [0.738, 0.262, 0.738], [0.738, 0.738, 0.262]],
  "spacegroup": "Fm-3m (225)"
}

Energy relative to the elements list, top to bottom, in eV/atom: -0.97, -1.27, -2.02, -0.63, 0.05, -0.43, -1.66, -0.46, -3.22, -2.01